(1)
Density functional theory data (GGA-PBE) for Ba21Si2O5 after structural relaxation.

Computed properties:
**Space group**: Fd-3m
**DFT formation energy**: -1.007 eV/atom
**VASP energy**: -201.31 eV/cell
**Total magnetic moment**: 0.15 μB per atom

Geometry as POSCAR:
```
Ba21Si2O5
1.0
0.0000 10.6509 10.6509
10.6509 0.0000 10.6509
10.6509 10.6509 0.0000
Ba Si O
42 4 10
direct
0.0000 0.0000 0.0000
0.7942 0.7942 0.0570
0.7942 0.7942 0.3547
0.1930 0.4558 0.8953
0.1250 0.1250 0.6250
0.6259 0.6259 0.3741
0.6259 0.3741 0.3741
0.8759 0.6241 0.8759
0.7942 0.3547 0.7942
0.4558 0.1930 0.4558
0.1930 0.8953 0.4558
0.6241 0.6241 0.8759
0.6241 0.8759 0.6241
0.2500 0.2500 0.2500
0.8759 0.6241 0.6241
0.0570 0.7942 0.7942
0.7942 0.3547 0.0570
0.8953 0.4558 0.1930
0.4558 0.4558 0.1930
0.4558 0.8953 0.4558
0.3741 0.6259 0.6259
0.8953 0.1930 0.4558
0.3741 0.3741 0.6259
0.4558 0.1930 0.8953
0.1930 0.4558 0.4558
0.7942 0.0570 0.3547
0.0570 0.7942 0.3547
0.1250 0.1250 0.1250
0.6241 0.8759 0.8759
0.6259 0.3741 0.6259
0.3547 0.7942 0.7942
0.4558 0.8953 0.1930
0.8953 0.4558 0.4558
0.0570 0.3547 0.7942
0.6250 0.1250 0.1250
0.4558 0.4558 0.8953
0.3741 0.6259 0.3741
0.3547 0.7942 0.0570
0.7942 0.0570 0.7942
0.3547 0.0570 0.7942
0.1250 0.6250 0.1250
0.8759 0.8759 0.6241
0.6250 0.1250 0.6250
0.6250 0.6250 0.1250
0.1250 0.6250 0.6250
0.6250 0.6250 0.6250
0.8418 0.8418 0.8418
0.5000 0.5000 0.5000
0.4082 0.4082 0.7753
0.4082 0.7753 0.4082
0.4747 0.8418 0.8418
0.7500 0.7500 0.7500
0.8418 0.4747 0.8418
0.7753 0.4082 0.4082
0.8418 0.8418 0.4747
0.4082 0.4082 0.4082
```


(2)
Density functional theory data (GGA-PBE) for BaSiO3 after structural relaxation.

Computed properties:
**Space group**: P2_1/c
**DFT formation energy**: -3.365 eV/atom
**VASP energy**: -295.62 eV/cell
**Total magnetic moment**: 0.00 μB per atom

Geometry as POSCAR:
```
BaSiO3
1.0
-1.2799 6.2414 0.5930
-4.0742 -0.1895 -6.7994
-14.0350 -2.9395 0.6470
Ba Si O
8 8 24
direct
0.8983 0.7890 0.6250
0.5930 0.2580 0.1647
0.3983 0.2110 0.8750
0.0930 0.7420 0.3353
0.9070 0.2580 0.6647
0.6017 0.7890 0.1250
0.4070 0.7420 0.8353
0.1017 0.2110 0.3750
0.8513 0.4516 0.8872
0.0866 0.1715 0.0898
0.3513 0.5484 0.6128
0.5866 0.8285 0.4102
0.4134 0.1715 0.5898
0.6487 0.4516 0.3872
0.9134 0.8285 0.9102
0.1487 0.5484 0.1128
0.0906 0.3159 0.1485
0.6353 0.3977 0.9526
0.3384 0.5618 0.7215
0.5527 0.6771 0.5392
0.3932 0.9725 0.3551
0.0527 0.3229 0.9608
0.8122 0.9282 0.4012
0.8384 0.4382 0.7785
0.1353 0.6023 0.5474
0.3122 0.0718 0.0988
0.8932 0.0275 0.1449
0.4094 0.3159 0.6485
0.5906 0.6841 0.3515
0.1068 0.9725 0.8551
0.6878 0.9282 0.9012
0.8647 0.3977 0.4526
0.1616 0.5618 0.2215
0.1878 0.0718 0.5988
0.9473 0.6771 0.0392
0.6068 0.0275 0.6449
0.4473 0.3229 0.4608
0.6616 0.4382 0.2785
0.3647 0.6023 0.0474
0.9094 0.6841 0.8515
```


(3)
Density functional theory data (GGA-PBE) for Ba5Si8O21 after structural relaxation.

Computed properties:
**Space group**: C2/c
**DFT formation energy**: -3.369 eV/atom
**VASP energy**: -514.04 eV/cell

Geometry as POSCAR:
```
Ba5Si8O21
1.0
-13.6691 -9.1844 -3.4742
-12.9463 -7.3678 -7.8341
6.5568 -11.8584 -3.8538
Ba Si O
10 16 42
direct
0.7628 0.8009 0.8844
0.3665 0.4097 0.9454
0.2372 0.1991 0.1156
0.6335 0.5903 0.0546
0.4097 0.3665 0.4454
0.0000 0.0000 0.5000
0.8009 0.7628 0.3844
0.0000 0.0000 0.0000
0.1991 0.2372 0.6156
0.5903 0.6335 0.5546
0.8606 0.7533 0.1020
0.7533 0.8606 0.6020
0.6114 0.7183 0.7905
0.6420 0.5009 0.3383
0.7183 0.6114 0.2905
0.5009 0.6420 0.8383
0.9736 0.1245 0.7229
0.3886 0.2817 0.2095
0.3580 0.4991 0.6617
0.2467 0.1394 0.3980
0.1245 0.9736 0.2229
0.4991 0.3580 0.1617
0.8755 0.0264 0.7771
0.0264 0.8755 0.2771
0.2817 0.3886 0.7095
0.1394 0.2467 0.8980
0.1649 0.9695 0.8091
0.4663 0.6599 0.2398
0.6408 0.5980 0.3528
0.0591 0.9409 0.2500
0.4258 0.1839 0.6470
0.9695 0.1649 0.3091
0.6599 0.4663 0.7398
0.9394 0.6988 0.6978
0.1839 0.4258 0.1470
0.1430 0.1767 0.9931
0.0557 0.0723 0.1137
0.4020 0.3592 0.1472
0.0606 0.3012 0.3022
0.2286 0.2486 0.4188
0.0723 0.0557 0.6137
0.9443 0.9277 0.8863
0.0305 0.8351 0.6909
0.3012 0.0606 0.8022
0.4596 0.4533 0.5637
0.9409 0.0591 0.7500
0.8233 0.8570 0.5069
0.8161 0.5742 0.8530
0.5337 0.3401 0.7602
0.7514 0.7714 0.0812
0.5467 0.5404 0.9363
0.3160 0.3493 0.3211
0.3401 0.5337 0.2602
0.5980 0.6408 0.8528
0.5404 0.5467 0.4363
0.7714 0.7514 0.5812
0.3592 0.4020 0.6472
0.8570 0.8233 0.0069
0.4533 0.4596 0.0637
0.6840 0.6507 0.6789
0.6507 0.6840 0.1789
0.6988 0.9394 0.1978
0.9277 0.9443 0.3863
0.1767 0.1430 0.4931
0.3493 0.3160 0.8211
0.8351 0.0305 0.1909
0.5742 0.8161 0.3530
0.2486 0.2286 0.9188
```


(4)
Density functional theory data (GGA-PBE) for BaSiO3 after structural relaxation.

Computed properties:
**Space group**: Pm-3m
**DFT formation energy**: -2.843 eV/atom
**VASP energy**: -34.34 eV/cell
**Total magnetic moment**: 0.00 μB per atom

Geometry as POSCAR:
```
BaSiO3
1.0
-1.4645 3.0808 -1.7566
-1.8983 -2.2863 -2.4273
-2.9956 -0.0574 2.3969
Ba Si O
1 1 3
direct
0.0000 0.0000 0.0000
0.5000 0.5000 0.5000
0.5000 0.5000 0.0000
0.5000 0.0000 0.5000
0.0000 0.5000 0.5000
```


(5)
Density functional theory data (GGA-PBE) for Ba4TiSi12Sn3O36 after structural relaxation.

Computed properties:
**Space group**: P312
**DFT formation energy**: -3.165 eV/atom
**VASP energy**: -423.34 eV/cell
**Total magnetic moment**: 0.00 μB per atom

Geometry as POSCAR:
```
Ba4TiSi12Sn3O36
1.0
3.4015 -5.8916 0.0000
3.4015 5.8916 0.0000
0.0000 0.0000 19.9518
Ba Ti Si Sn O
4 1 12 3 36
direct
0.3333 0.6667 0.7499
0.3333 0.6667 0.2501
0.3333 0.6667 0.0000
0.3333 0.6667 0.5000
0.6667 0.3333 0.5000
0.2829 0.0651 0.1250
0.2853 0.0677 0.6237
0.9349 0.2178 0.1250
0.9323 0.2177 0.6237
0.7822 0.7171 0.1250
0.7823 0.7147 0.6237
0.2829 0.2178 0.8750
0.2853 0.2177 0.3763
0.9349 0.7171 0.8750
0.9323 0.7147 0.3763
0.7822 0.0651 0.8750
0.7823 0.0677 0.3763
0.6667 0.3333 0.2505
0.6667 0.3333 0.7495
0.6667 0.3333 0.0000
0.4195 0.0753 0.1931
0.4190 0.0748 0.6921
0.9247 0.3442 0.1931
0.9252 0.3442 0.6921
0.6558 0.5805 0.1931
0.6558 0.5810 0.6921
0.4193 0.0750 0.0570
0.4301 0.0907 0.5563
0.9250 0.3442 0.0570
0.9093 0.3394 0.5563
0.6558 0.5807 0.0570
0.6606 0.5699 0.5563
0.4193 0.3442 0.9430
0.4301 0.3394 0.4437
0.9250 0.5807 0.9430
0.9093 0.5699 0.4437
0.6558 0.0750 0.9430
0.6606 0.0907 0.4437
0.4195 0.3442 0.8069
0.4190 0.3442 0.3079
0.9247 0.5805 0.8069
0.9252 0.5810 0.3079
0.6558 0.0753 0.8069
0.6558 0.0748 0.3079
0.1937 0.2504 0.1250
0.1918 0.2506 0.6237
0.7496 0.9433 0.1250
0.7494 0.9412 0.6237
0.0567 0.8063 0.1250
0.0588 0.8082 0.6237
0.1937 0.9433 0.8750
0.1918 0.9412 0.3763
0.7496 0.8063 0.8750
0.7494 0.8082 0.3763
0.0567 0.2504 0.8750
0.0588 0.2506 0.3763
```


(6)
Density functional theory data (GGA-PBE) for Ba3Ta6Si4O26 after structural relaxation.

Computed properties:
**Space group**: P-62m
**DFT formation energy**: -3.433 eV/atom
**VASP energy**: -343.27 eV/cell

Geometry as POSCAR:
```
Ba3Ta6Si4O26
1.0
-7.9073 4.1662 -1.8775
0.0347 -7.8133 4.7285
0.5457 4.0484 6.6855
Ba Ta Si O
3 6 4 26
direct
0.3985 0.3985 0.5000
0.0000 0.6015 0.5000
0.6015 0.0000 0.5000
0.0000 0.2383 0.7552
0.7617 0.7617 0.7552
0.2383 0.0000 0.2448
0.7617 0.7617 0.2448
0.2383 0.0000 0.7552
0.0000 0.2383 0.2448
0.6667 0.3333 0.2056
0.6667 0.3333 0.7944
0.3333 0.6667 0.7944
0.3333 0.6667 0.2056
0.0000 0.2312 0.5000
0.7688 0.7688 0.5000
0.2312 0.0000 0.5000
0.5122 0.6950 0.2828
0.3050 0.8172 0.2828
0.1828 0.4878 0.2828
0.4878 0.1828 0.7172
0.1828 0.4878 0.7172
0.5122 0.6950 0.7172
0.3050 0.8172 0.7172
0.6950 0.5122 0.2828
0.8172 0.3050 0.2828
0.8172 0.3050 0.7172
0.3333 0.6667 0.0000
0.6667 0.3333 0.0000
0.2744 0.0000 0.0000
0.7256 0.7256 0.0000
0.0000 0.2744 0.0000
0.8229 0.0000 0.2368
0.1771 0.1771 0.7632
0.0000 0.8229 0.7632
0.0000 0.8229 0.2368
0.1771 0.1771 0.2368
0.8229 0.0000 0.7632
0.4878 0.1828 0.2828
0.6950 0.5122 0.7172
```


(7)
Density functional theory data (GGA-PBE) for Ba3Zn6Si4TeO20 after structural relaxation.

Computed properties:
**Space group**: C2/m
**DFT formation energy**: -2.627 eV/atom
**VASP energy**: -212.70 eV/cell
**Total magnetic moment**: 0.00 μB per atom

Geometry as POSCAR:
```
Ba3Zn6Si4TeO20
1.0
3.2790 -6.0131 7.2563
8.3506 -4.4635 -3.1479
3.8157 2.7266 2.2661
Ba Zn Si Te O
3 6 4 1 20
direct
0.7870 0.7870 0.7475
0.2130 0.2130 0.2525
0.5000 0.5000 0.0000
0.1561 0.8439 0.5000
0.8439 0.1561 0.5000
0.3642 0.9233 0.8276
0.0767 0.6358 0.1724
0.6358 0.0767 0.1724
0.9233 0.3642 0.8276
0.5194 0.7806 0.3417
0.2194 0.4806 0.6583
0.4806 0.2194 0.6583
0.7806 0.5194 0.3417
0.0000 0.0000 0.0000
0.6168 0.8841 0.3414
0.1159 0.3832 0.6586
0.3832 0.1159 0.6586
0.8841 0.6168 0.3414
0.3655 0.8151 0.5507
0.1850 0.6345 0.4493
0.6345 0.1850 0.4493
0.8151 0.3655 0.5507
0.5054 0.7772 0.0361
0.2228 0.4946 0.9639
0.4946 0.2228 0.9639
0.7772 0.5054 0.0361
0.9299 0.9299 0.3670
0.0701 0.0701 0.6330
0.1890 0.9530 0.1071
0.0470 0.8110 0.8929
0.8110 0.0470 0.8929
0.9530 0.1890 0.1071
0.6100 0.6100 0.4636
0.3900 0.3900 0.5364
```


(8)
Density functional theory data (GGA-PBE) for Ba4Ti6Si4O25 after structural relaxation.

Computed properties:
**Space group**: P2/c
**DFT formation energy**: -3.316 eV/atom
**VASP energy**: -625.18 eV/cell
**Total magnetic moment**: 0.05 μB per atom

Geometry as POSCAR:
```
Ba4Ti6Si4O25
1.0
16.9434 0.0000 0.0000
0.0000 5.9320 0.0000
0.0000 2.9291 10.5597
Ba Ti Si O
8 12 8 50
direct
0.3780 0.6013 0.5472
0.6220 0.3987 0.4528
0.3780 0.3987 0.9528
0.6220 0.6013 0.0472
0.8777 0.5938 0.0482
0.1223 0.4062 0.9518
0.8777 0.4062 0.4518
0.1223 0.5938 0.5482
0.7517 0.5000 0.7500
0.2483 0.5000 0.2500
0.7472 0.0000 0.7500
0.2528 0.0000 0.2500
0.9485 0.7633 0.7278
0.0515 0.2367 0.2722
0.9485 0.2367 0.7722
0.0515 0.7633 0.2278
0.5513 0.7581 0.7303
0.4487 0.2419 0.2697
0.5513 0.2419 0.7697
0.4487 0.7581 0.2303
0.2510 0.8874 0.9726
0.7490 0.1126 0.0274
0.2510 0.1126 0.5274
0.7490 0.8874 0.4726
0.3832 0.0000 0.7500
0.6168 0.0000 0.2500
0.1186 0.0000 0.7500
0.8814 0.0000 0.2500
0.3288 0.9391 0.8793
0.6712 0.0609 0.1207
0.3288 0.0609 0.6207
0.6712 0.9391 0.3793
0.7473 0.6161 0.5566
0.2527 0.3839 0.4434
0.7473 0.3839 0.9434
0.2527 0.6161 0.0566
0.7507 0.9238 0.9435
0.2493 0.0762 0.0565
0.7507 0.0762 0.5565
0.2493 0.9238 0.4435
0.5475 0.5590 0.6275
0.4525 0.4410 0.3725
0.5475 0.4410 0.8725
0.4525 0.5590 0.1275
0.5552 0.9402 0.8701
0.4448 0.0598 0.1299
0.5552 0.0598 0.6299
0.4448 0.9402 0.3701
0.8250 0.7444 0.7560
0.1750 0.2556 0.2440
0.8250 0.2556 0.7440
0.1750 0.7444 0.2560
0.4325 0.7662 0.7493
0.5675 0.2338 0.2507
0.4325 0.2338 0.7507
0.5675 0.7662 0.2493
0.8263 0.9221 0.3785
0.1737 0.0779 0.6215
0.8263 0.0779 0.1215
0.1737 0.9221 0.8785
0.9317 0.7707 0.2439
0.0683 0.2293 0.7561
0.9317 0.2293 0.2561
0.0683 0.7707 0.7439
0.2518 0.5000 0.7500
0.7482 0.5000 0.2500
0.9435 0.9356 0.8707
0.0565 0.0644 0.1293
0.9435 0.0644 0.6293
0.0565 0.9356 0.3707
0.6732 0.7455 0.7591
0.3268 0.2545 0.2409
0.6732 0.2545 0.7409
0.3268 0.7455 0.2591
0.9523 0.5582 0.6277
0.0477 0.4418 0.3723
0.9523 0.4418 0.8723
0.0477 0.5582 0.1277
```